[1]
Material: Rb8SnO6
Method: DFT, PBE
State: relaxed

Cell lengths 7.5494, 7.5494, 15.7297 Å; angles 90.00, 90.00, 120.00 degrees
Space group P6_3cm (No. 185)
One atom of each set of equivalent atoms:
Rb: 0.0000 0.2826 0.0000 x6
Rb: 0.0000 0.3955 0.3480 x6
Rb: 0.3333 0.6667 0.1444 x4
Sn: 0.0000 0.0000 0.2211 x2
O: 0.0000 0.0000 0.3510 x2
O: 0.0000 0.2528 0.1804 x6
O: 0.3333 0.6667 0.4568 x4

---

[2]
Material: Rb2Sn3O7
Method: DFT, PBE
State: relaxed

Cell lengths 17.3289, 3.2179, 13.3280 Å; angles 90.00, 90.00, 90.00 degrees
Space group Pnma (No. 62)
One atom of each set of equivalent atoms:
Rb: 0.0658 0.2500 0.1059 x4
Rb: 0.1966 0.2500 0.5593 x4
Sn: 0.0177 0.7500 0.3902 x4
Sn: 0.1264 0.2500 0.8279 x4
Sn: 0.2066 0.2500 0.2941 x4
O: 0.0238 0.2500 0.7506 x4
O: 0.0503 0.7500 0.5512 x4
O: 0.0973 0.7500 0.9202 x4
O: 0.0975 0.2500 0.3692 x4
O: 0.1766 0.7500 0.2036 x4
O: 0.1773 0.7500 0.7406 x4
O: 0.2493 0.2500 0.8859 x4

---

no.,DFT formation energy (kJ per mole of atoms),corrected total energy (MP2020 scheme) (eV per atom)
1,-145,-4.271
2,-198,-6.104